Record 1
! Ac3Eu, relaxed, DFT r²SCAN; values from VASP
&SYSTEM
  ibrav = 0, nat = 8, ntyp = 2
/
ATOMIC_SPECIES
Ac 227.00 Ac.upf
Eu 151.96 Eu.upf
CELL_PARAMETERS angstrom
8.0694 0.0000 0.0000
-4.0347 6.9883 0.0000
0.0000 0.0000 6.6054
ATOMIC_POSITIONS angstrom
Ac 0.0000 2.3430 1.6513
Ac -2.0056 5.8168 1.6513
Ac 2.0291 1.1715 4.9540
Ac 2.0056 5.8168 1.6513
Ac 6.0403 1.1715 4.9540
Ac 4.0347 4.6454 4.9540
Eu 0.0000 4.6589 4.9540
Eu 4.0347 2.3294 1.6513
! * theoretical density: 7.43 g cm⁻³
! * spin magnetization: 18.7 μB per cell
! * space-group type: No. 194


Record 2
! TaPd, relaxed, DFT r²SCAN; values from VASP
&SYSTEM
  ibrav = 0, nat = 4, ntyp = 2
/
ATOMIC_SPECIES
Ta 180.95 Ta.upf
Pd 106.42 Pd.upf
CELL_PARAMETERS angstrom
3.2874 0.0000 0.0000
0.0000 3.2874 0.0000
0.0000 0.0000 6.0834
ATOMIC_POSITIONS angstrom
Ta 0.8219 0.8219 0.8832
Ta 2.4656 2.4656 5.2002
Pd 0.8219 0.8219 3.8382
Pd 2.4656 2.4656 2.2451
! * theoretical density: 14.52 g cm⁻³
! * spin magnetization: 0.0 μB per cell
! * space-group type: No. 129


Record 3
! SiO2, relaxed, DFT r²SCAN; values from VASP
&SYSTEM
  ibrav = 0, nat = 24, ntyp = 2
/
ATOMIC_SPECIES
Si 28.09 Si.upf
O 16.00 O.upf
CELL_PARAMETERS angstrom
4.7116 0.0000 0.0000
0.0000 8.0926 0.0000
0.0000 0.0000 8.5306
ATOMIC_POSITIONS angstrom
Si 0.6783 0.5095 1.3571
Si 0.6783 3.5368 5.6224
Si 1.6775 0.5095 5.6224
Si 1.6775 3.5368 1.3571
Si 3.0341 4.5558 7.1736
Si 3.0341 7.5831 2.9082
Si 4.0332 4.5558 2.9082
Si 4.0332 7.5831 7.1736
O 0.0000 0.0000 0.0000
O 0.0000 4.0463 4.2653
O 0.4161 4.4852 1.7146
O 0.4161 7.6537 5.9799
O 1.1779 2.0231 1.1886
O 1.1779 2.0231 5.4539
O 1.9397 4.4852 5.9799
O 1.9397 7.6537 1.7146
O 2.3558 0.0000 4.2653
O 2.3558 4.0463 0.0000
O 2.7719 0.4389 6.8160
O 2.7719 3.6074 2.5507
O 3.5337 6.0694 3.0767
O 3.5337 6.0694 7.3420
O 4.2955 0.4389 2.5507
O 4.2955 3.6074 6.8160
! * theoretical density: 2.45 g cm⁻³
! * spin magnetization: 0.0 μB per cell
! * space-group type: No. 56


Record 4
! Na17Al5O16, relaxed, DFT r²SCAN; values from VASP
&SYSTEM
  ibrav = 0, nat = 38, ntyp = 3
/
ATOMIC_SPECIES
Na 22.99 Na.upf
Al 26.98 Al.upf
O 16.00 O.upf
CELL_PARAMETERS angstrom
2.9635 -16.3823 0.0000
2.9635 16.3823 0.0000
-2.9388 0.0000 5.1599
ATOMIC_POSITIONS angstrom
Na 3.8577 0.0000 3.6322
Na 2.9635 13.4829 0.0000
Na 0.8497 10.6075 3.7568
Na 0.9875 7.3571 2.9256
Na 0.9580 4.4942 3.1280
Na 2.9068 7.5203 0.7273
Na 2.7693 4.5134 0.7128
Na 1.0353 1.5012 2.9940
Na 2.8322 1.5112 0.5982
Na 1.0353 -1.5012 2.9940
Na 2.8322 -1.5112 0.5982
Na 0.9580 -4.4942 3.1280
Na 0.9875 -7.3571 2.9256
Na 2.7693 -4.5134 0.7128
Na 2.9068 -7.5203 0.7273
Na 0.8497 -10.6075 3.7568
Na 2.9635 -13.4829 0.0000
Al 1.4305 13.4271 2.6744
Al 2.3683 10.4734 1.0330
Al 2.3683 -10.4734 1.0330
Al 1.4305 -13.4271 2.6744
Al 5.3669 0.0000 0.9672
O 1.8766 14.9620 1.8902
O 1.1504 6.0773 0.9144
O 2.0292 12.1313 1.6322
O -0.7217 3.0484 4.2184
O 1.7575 9.2891 2.1852
O 1.1808 0.0000 0.8905
O -0.7217 -3.0484 4.2184
O 1.1504 -6.0773 0.9144
O 1.5653 6.0887 4.6538
O 2.6551 3.0514 2.7590
O 1.6144 0.0000 4.5839
O 1.7575 -9.2891 2.1852
O 2.6551 -3.0514 2.7590
O 2.0292 -12.1313 1.6322
O 1.5653 -6.0887 4.6538
O 1.8766 -14.9620 1.8902
! * theoretical density: 2.59 g cm⁻³
! * spin magnetization: 0.0 μB per cell
! * space-group type: No. 8


Record 5
! SiO2, relaxed, DFT r²SCAN; values from VASP
&SYSTEM
  ibrav = 0, nat = 36, ntyp = 2
/
ATOMIC_SPECIES
Si 28.09 Si.upf
O 16.00 O.upf
CELL_PARAMETERS angstrom
7.0085 -8.8923 0.0000
7.0085 8.8923 0.0000
0.0000 0.0000 5.2353
ATOMIC_POSITIONS angstrom
Si 4.1184 3.7514 1.3088
Si 7.0085 6.7348 3.9265
Si 2.8726 0.8563 1.3088
Si 7.0085 4.8706 1.3088
Si 2.8726 -0.8563 3.9265
Si 9.8987 3.7514 1.3088
Si 4.1184 -3.7514 3.9265
Si 11.1445 0.8563 1.3088
Si 7.0085 -4.8706 3.9265
Si 11.1445 -0.8563 3.9265
Si 7.0085 -6.7348 1.3088
Si 9.8987 -3.7514 3.9265
O 3.5043 4.4461 0.0000
O 3.5043 4.4461 2.6177
O 1.2998 1.2131 1.3088
O 3.7674 2.1884 1.3088
O 1.2998 -1.2131 3.9265
O 7.0085 5.8061 0.0017
O 7.0085 5.8061 2.6160
O 5.7159 3.9187 1.3088
O 3.2306 0.0000 0.0000
O 3.2306 0.0000 2.6177
O 8.3012 3.9187 1.3088
O 3.7674 -2.1884 3.9265
O 3.5043 -4.4461 0.0000
O 3.5043 -4.4461 2.6177
O 10.2497 2.1884 1.3088
O 5.7159 -3.9187 3.9265
O 10.7865 0.0000 0.0000
O 10.7865 0.0000 2.6177
O 8.3012 -3.9187 3.9265
O 7.0085 -5.8061 5.2336
O 7.0085 -5.8061 2.6194
O 12.7173 1.2131 1.3088
O 10.2497 -2.1884 3.9265
O 12.7173 -1.2131 3.9265
! * theoretical density: 1.83 g cm⁻³
! * spin magnetization: 0.0 μB per cell
! * space-group type: No. 63


Record 6
! YbAlCo, relaxed, DFT r²SCAN; values from VASP
&SYSTEM
  ibrav = 0, nat = 12, ntyp = 3
/
ATOMIC_SPECIES
Yb 173.04 Yb.upf
Al 26.98 Al.upf
Co 58.93 Co.upf
CELL_PARAMETERS angstrom
8.5336 0.0000 0.0000
0.0000 2.6250 4.5194
0.0000 -2.6250 4.5194
ATOMIC_POSITIONS angstrom
Yb 1.5054 0.0000 0.0000
Yb 2.6216 0.0000 3.0353
Yb 5.9121 0.0000 3.0353
Yb 7.0282 0.0000 0.0000
Al 2.0634 0.0000 6.1031
Al 4.2668 -1.3336 5.2546
Al 4.2668 1.3336 5.2546
Al 6.4703 0.0000 6.1031
Co 0.0000 -1.2309 2.3477
Co 0.0000 1.2309 2.3477
Co 0.0000 0.0000 4.4942
Co 4.2668 0.0000 7.5507
! * theoretical density: 8.50 g cm⁻³
! * spin magnetization: 2.6 μB per cell
! * space-group type: No. 38


Respective energy relative to the elements values: 0.02, -0.37, -3.02, -2.21, -3.02, -0.41 eV per atom.